An optimized crystal structure of VH8C2N2O6F. Source: the Materials Project, functional PBE+U.

Summary:
Uncorrected energy   -6.10 eV per atom
Volume   10.0 A^3/atom
Calculated formation energy   -1.26 eV/atom

Unit cell a=11.444 b=9.584 c=7.299 alpha=90.00 beta=95.02 gamma=90.00
Space group P2_1/c (No. 14)
Inequivalent atoms, fractional coordinates:
V1 0.237 0.032 0.153 (multiplicity 4)
H1 0.026 0.606 0.850 (multiplicity 4)
H2 0.045 0.239 0.151 (multiplicity 4)
H3 0.082 0.131 0.508 (multiplicity 4)
H4 0.113 0.120 0.742 (multiplicity 4)
H5 0.335 0.039 0.638 (multiplicity 4)
H6 0.364 0.196 0.747 (multiplicity 4)
H7 0.409 0.042 0.844 (multiplicity 4)
H8 0.472 0.104 0.658 (multiplicity 4)
C1 0.227 0.731 0.124 (multiplicity 4)
C2 0.344 0.726 0.550 (multiplicity 4)
N1 0.053 0.154 0.635 (multiplicity 4)
N2 0.395 0.096 0.722 (multiplicity 4)
O1 0.166 0.663 0.672 (multiplicity 4)
O2 0.196 0.607 0.131 (multiplicity 4)
O3 0.208 0.126 0.964 (multiplicity 4)
O4 0.332 0.117 0.295 (multiplicity 4)
O5 0.360 0.591 0.551 (multiplicity 4)
O6 0.413 0.687 0.995 (multiplicity 4)
F1 0.097 0.074 0.271 (multiplicity 4)

---

An optimized crystal structure of Li9Mn2Co5O16. Source: the Materials Project, functional PBE+U.

Summary:
E above lowest polymorph   0 meV/atom
Uncorrected energy   -5.85 eV per atom
Volume   8.8 A^3/atom
Calculated formation energy   -1.86 eV/atom

Unit cell a=4.997 b=5.865 c=9.822 alpha=90.00 beta=100.54 gamma=90.00
Space group P2 (No. 3)
Inequivalent atoms, fractional coordinates:
Li1 0.000 0.000 0.000 (multiplicity 1)
Li2 0.244 0.506 0.753 (multiplicity 2)
Li3 0.245 0.002 0.754 (multiplicity 2)
Li4 0.245 0.246 0.248 (multiplicity 2)
Li5 0.245 0.759 0.248 (multiplicity 2)
Mn1 0.000 0.510 0.000 (multiplicity 1)
Mn2 0.500 0.243 0.000 (multiplicity 1)
Co1 0.000 0.253 0.500 (multiplicity 1)
Co2 0.000 0.754 0.500 (multiplicity 1)
Co3 0.500 0.004 0.500 (multiplicity 1)
Co4 0.500 0.504 0.500 (multiplicity 1)
Co5 0.500 0.756 0.000 (multiplicity 1)
O1 0.134 0.004 0.382 (multiplicity 2)
O2 0.134 0.738 0.890 (multiplicity 2)
O3 0.137 0.270 0.890 (multiplicity 2)
O4 0.139 0.506 0.385 (multiplicity 2)
O5 0.361 0.255 0.616 (multiplicity 2)
O6 0.365 0.757 0.615 (multiplicity 2)
O7 0.367 0.503 0.108 (multiplicity 2)
O8 0.399 0.005 0.111 (multiplicity 2)

---

An optimized crystal structure of CoH2O2. Source: the Materials Project, functional PBE+U.

Summary:
E above lowest polymorph   212 meV/atom
Piezoelectric modulus e_max   1.48 C/m2
Uncorrected energy   -5.19 eV per atom
Volume   9.0 A^3/atom
Calculated formation energy   -1.03 eV/atom

Unit cell a=3.4265 b=3.4265 c=4.4402 alpha=90.00 beta=90.00 gamma=120.00
Space group P3m1 (No. 156)
Inequivalent atoms, fractional coordinates:
Co1 0.0000 0.0000 0.0000 (multiplicity 1)
H1 0.3333 0.6667 0.4395 (multiplicity 1)
H2 0.6667 0.3333 0.0334 (multiplicity 1)
O1 0.3333 0.6667 0.2188 (multiplicity 1)
O2 0.6667 0.3333 0.8097 (multiplicity 1)